Record 1
The following is a PBE-GGA calculation of TmNi3Ge2 after structural relaxation, from Materials Project.

The structure in extended XYZ format:
```
72
Lattice="17.996 0.000 0.000 -8.998 15.585 0.000 0.000 0.000 3.793" Properties=species:S:1:pos:R:3 pbc="T T T"
Tm 0.000 0.000 0.000
Tm 13.500 7.785 0.000
Tm -1.283 5.078 0.000
Tm -3.959 14.157 0.000
Tm 3.796 3.677 0.000
Tm 0.000 10.390 1.897
Tm 8.990 0.000 0.000
Tm 4.503 7.799 0.000
Tm 8.998 5.195 1.897
Tm 5.242 11.935 0.000
Tm 12.913 1.448 0.000
Tm 10.285 10.459 0.000
Ni -0.579 2.481 1.897
Ni -5.908 12.294 1.897
Ni -4.702 10.968 0.000
Ni -6.560 14.846 1.897
Ni -3.179 9.682 1.897
Ni -1.802 7.493 1.897
Ni 1.889 1.786 1.897
Ni 1.305 4.321 1.897
Ni -2.190 11.410 0.000
Ni 0.211 7.983 0.000
Ni 4.379 1.045 1.897
Ni 1.850 6.029 0.000
Ni -1.608 13.399 1.897
Ni 2.202 7.991 1.897
Ni 6.218 1.417 0.000
Ni 5.605 5.331 1.897
Ni 0.976 13.497 1.897
Ni 1.979 11.776 0.000
Ni 7.004 3.841 0.000
Ni 8.019 2.099 1.897
Ni 3.410 10.277 1.897
Ni 2.851 14.172 0.000
Ni 6.806 7.591 1.897
Ni 10.577 2.189 1.897
Ni 7.116 9.491 0.000
Ni 4.603 14.554 1.897
Ni 8.823 7.598 0.000
Ni 11.167 4.145 0.000
Ni 7.713 11.270 1.897
Ni 7.139 13.843 1.897
Ni 10.812 8.065 1.897
Ni 12.169 5.896 1.897
Ni 15.504 0.742 1.897
Ni 13.659 4.677 0.000
Ni 14.901 3.270 1.897
Ni 9.601 13.056 1.897
Ge -5.602 9.823 1.897
Ge -6.858 13.322 0.000
Ge 0.890 2.984 0.000
Ge -1.840 9.044 0.000
Ge -3.533 12.017 1.897
Ge 3.000 0.737 0.000
Ge 0.357 6.517 1.897
Ge 3.292 5.822 1.897
Ge 6.665 0.060 1.897
Ge -0.246 12.656 0.000
Ge 5.840 2.951 1.897
Ge 2.086 9.469 0.000
Ge 6.925 6.152 0.000
Ge 3.176 12.636 1.897
Ge 9.206 2.921 0.000
Ge 2.310 15.524 1.897
Ge 5.717 9.782 1.897
Ge 8.633 9.051 1.897
Ge 5.968 14.863 0.000
Ge 12.520 3.582 1.897
Ge 10.863 6.512 0.000
Ge 8.136 12.618 0.000
Ge 15.857 2.230 0.000
Ge 14.611 5.742 1.897
```

Summary:
- Formation energy from the elements: -0.614 eV per atom
- V: 14.776 Å³ per atom

=====

Record 2
The following is a PBE-GGA calculation of DyZnPO after structural relaxation, from Materials Project.

The structure in extended XYZ format:
```
8
Lattice="1.950 1.126 10.128 -1.950 1.126 10.128 0.000 -2.252 10.128" Properties=species:S:1:pos:R:3 pbc="T T T"
Dy 0.000 0.000 3.655
Dy 0.000 0.000 26.727
Zn 0.000 0.000 9.227
Zn 0.000 0.000 21.155
P 0.000 0.000 11.798
P 0.000 0.000 18.585
O 0.000 0.000 5.912
O 0.000 0.000 24.470
```

Summary:
- Formation energy from the elements: -2.057 eV per atom
- V: 16.675 Å³ per atom
- Total energy after the MP2020 corrections: -6.11 eV per atom

=====

Record 3
The following is a PBE-GGA calculation of SrGe2B2O8 after structural relaxation, from Materials Project.

The structure in extended XYZ format:
```
52
Lattice="8.363 0.000 0.000 0.000 8.202 0.000 0.000 0.000 9.267" Properties=species:S:1:pos:R:3 pbc="T T T"
Sr 0.937 2.050 0.652
Sr 3.245 6.151 5.285
Sr 5.118 2.050 3.982
Sr 7.426 6.151 8.616
Ge 0.440 0.436 6.392
Ge 0.440 3.665 6.392
Ge 3.741 4.536 1.759
Ge 3.741 7.766 1.759
Ge 4.621 0.436 7.508
Ge 4.621 3.665 7.508
Ge 7.923 4.536 2.875
Ge 7.923 7.766 2.875
B 2.011 0.707 3.875
B 2.011 3.394 3.875
B 2.170 4.808 8.509
B 2.170 7.494 8.509
B 6.192 0.707 0.759
B 6.192 3.394 0.759
B 6.352 4.808 5.392
B 6.352 7.494 5.392
O 0.258 6.151 3.042
O 0.898 0.706 2.919
O 0.898 3.394 2.919
O 1.047 0.218 8.041
O 1.047 3.883 8.041
O 1.611 6.151 8.654
O 1.642 0.036 5.170
O 1.642 4.064 5.170
O 2.540 4.137 0.537
O 2.540 8.165 0.537
O 2.570 2.050 4.020
O 3.134 4.319 3.407
O 3.134 7.983 3.407
O 3.283 4.807 7.553
O 3.283 7.495 7.553
O 3.923 2.050 7.676
O 4.439 6.151 1.591
O 5.079 0.706 1.714
O 5.079 3.394 1.714
O 5.228 0.218 5.860
O 5.228 3.883 5.860
O 5.793 6.151 5.247
O 5.823 0.036 8.731
O 5.823 4.064 8.731
O 6.721 4.137 4.097
O 6.721 8.165 4.097
O 6.751 2.050 0.613
O 7.316 4.319 1.226
O 7.316 7.983 1.226
O 7.465 4.807 6.348
O 7.465 7.495 6.348
O 8.105 2.050 6.225
```

Summary:
- Formation energy from the elements: -2.665 eV per atom
- V: 12.223 Å³ per atom
- Total energy after the MP2020 corrections: -7.58 eV per atom

=====

Record 4
The following is a PBE-GGA calculation of Sr2Mg after structural relaxation, from Materials Project.

The structure in extended XYZ format:
```
12
Lattice="13.801 0.000 0.000 0.000 6.100 0.000 0.000 0.000 6.097" Properties=species:S:1:pos:R:3 pbc="T T T"
Sr 11.827 4.595 1.524
Sr 1.974 1.505 4.573
Sr 4.926 1.545 1.524
Sr 11.827 1.505 4.573
Sr 8.874 1.545 1.524
Sr 8.874 4.555 4.573
Sr 1.974 4.595 1.524
Sr 4.926 4.555 4.573
Mg 6.900 1.432 4.573
Mg 0.000 1.618 1.524
Mg 0.000 4.483 4.573
Mg 6.900 4.668 1.524
```

Summary:
- Formation energy from the elements: -0.024 eV per atom
- V: 42.774 Å³ per atom

=====

Record 5
The following is a PBE-GGA calculation of Ba4SnGe2S8Br2 after structural relaxation, from Materials Project.

The structure in extended XYZ format:
```
34
Lattice="9.293 0.000 0.000 0.000 12.109 0.000 0.000 0.000 9.107" Properties=species:S:1:pos:R:3 pbc="T T T"
Ba 2.243 0.993 0.000
Ba 2.273 6.934 6.520
Ba 2.374 5.174 1.966
Ba 2.404 11.115 4.554
Ba 6.889 11.115 4.554
Ba 6.919 5.174 1.966
Ba 7.020 6.934 6.520
Ba 7.050 0.993 0.000
Sn 0.000 8.864 1.243
Sn 4.646 3.245 5.796
Ge 0.000 4.116 8.312
Ge 0.000 10.290 7.355
Ge 4.646 1.819 2.801
Ge 4.646 7.993 3.758
S 0.000 0.327 6.779
S 0.000 3.019 1.161
S 0.000 6.371 8.889
S 0.000 9.088 5.495
S 1.789 9.770 8.593
S 1.992 3.785 7.430
S 2.654 8.324 2.876
S 2.857 2.339 4.039
S 4.646 3.020 0.941
S 4.646 5.738 4.335
S 4.646 9.090 5.715
S 4.646 11.781 2.226
S 6.436 2.339 4.039
S 6.639 8.324 2.876
S 7.301 3.785 7.430
S 7.503 9.770 8.593
Br 0.000 5.612 4.290
Br 0.000 11.784 2.345
Br 4.646 0.324 6.898
Br 4.646 6.497 8.843
```

Summary:
- Formation energy from the elements: -1.664 eV per atom
- V: 30.140 Å³ per atom
- Total energy after the MP2020 corrections: -5.03 eV per atom

=====

Record 6
The following is a PBE-GGA calculation of CaZr4O9 after structural relaxation, from Materials Project.

The structure in extended XYZ format:
```
112
Lattice="8.972 -7.405 0.000 8.972 7.405 0.000 -5.965 0.000 10.637" Properties=species:S:1:pos:R:3 pbc="T T T"
Ca 1.484 2.776 3.723
Ca 4.498 6.471 7.978
Ca -1.498 -2.776 9.042
Ca 7.481 0.943 2.659
Ca 4.498 -0.943 7.978
Ca 13.478 2.776 1.595
Ca 7.481 -6.471 2.659
Ca 10.495 -2.776 6.914
Zr 1.319 1.125 0.533
Zr 4.428 4.664 4.777
Zr 4.598 2.852 1.883
Zr -1.751 0.790 9.361
Zr -1.664 -1.125 5.852
Zr 7.481 4.628 2.659
Zr 1.164 2.729 10.101
Zr 1.756 1.032 6.926
Zr 1.231 -0.790 4.042
Zr 10.534 4.664 0.541
Zr 4.498 2.753 7.978
Zr 4.441 0.644 4.621
Zr 4.739 -1.032 1.607
Zr 1.459 -0.644 9.940
Zr 7.833 2.729 5.855
Zr 10.364 2.852 3.436
Zr 1.615 -2.852 7.201
Zr 4.146 -2.729 4.782
Zr 10.521 0.644 0.698
Zr 7.241 1.032 9.030
Zr 7.538 -0.644 6.016
Zr 7.481 -2.753 2.659
Zr 1.445 -4.664 10.096
Zr 10.748 0.790 6.595
Zr 10.223 -1.032 3.712
Zr 10.815 -2.729 0.536
Zr 4.498 -4.628 7.978
Zr 13.643 1.125 4.785
Zr 13.730 -0.790 1.276
Zr 7.382 -2.852 8.754
Zr 7.551 -4.664 5.860
Zr 10.661 -1.125 10.104
O 0.478 4.535 9.102
O 6.883 6.251 1.466
O 5.126 6.505 5.422
O 5.104 4.821 2.707
O 0.633 2.590 6.161
O 0.830 0.710 2.528
O -0.966 2.479 10.390
O 3.871 6.505 10.534
O 3.936 4.317 6.727
O 8.078 6.251 3.852
O -2.152 -0.710 7.847
O 4.171 2.689 4.011
O 3.322 0.333 0.623
O 8.389 4.343 0.255
O 2.435 2.621 8.358
O 6.671 2.965 1.608
O 2.315 0.840 4.841
O 0.340 -0.333 5.941
O 6.573 4.343 5.064
O 0.489 0.980 8.813
O 5.061 4.317 9.229
O 9.858 4.821 2.612
O 5.176 0.847 2.559
O -0.667 -0.840 10.160
O 3.954 1.137 6.685
O 3.471 -0.980 3.495
O 8.290 2.965 3.710
O 8.519 4.535 6.854
O 8.299 1.115 0.241
O 3.615 -2.590 0.842
O 2.194 -0.847 7.877
O 6.562 2.621 7.598
O 2.016 -2.479 5.072
O 6.662 1.115 5.078
O 10.791 2.689 1.308
O 5.043 1.137 9.270
O 6.936 -1.137 1.367
O 1.189 -2.689 9.329
O 5.317 -1.115 5.560
O 9.963 2.479 5.565
O 5.417 -2.621 3.040
O 9.785 0.847 2.760
O 8.364 2.590 9.795
O 3.680 -1.115 10.396
O 3.460 -4.535 3.783
O 3.689 -2.965 6.927
O 8.508 0.980 7.142
O 8.025 -1.137 3.952
O 12.646 0.840 0.477
O 6.803 -0.847 8.078
O 2.122 -4.821 8.025
O 6.919 -4.317 1.409
O 11.491 -0.980 1.824
O 5.406 -4.343 5.574
O 11.640 0.333 4.696
O 9.664 -0.840 5.796
O 5.308 -2.965 9.029
O 9.544 -2.621 2.279
O 3.591 -4.343 10.382
O 8.657 -0.333 10.014
O 7.808 -2.689 6.626
O 14.132 0.710 2.790
O 3.901 -6.251 6.785
O 8.043 -4.317 3.910
O 8.108 -6.505 0.104
O 12.946 -2.479 0.247
O 11.149 -0.710 8.109
O 11.346 -2.590 4.476
O 6.875 -4.821 7.930
O 6.853 -6.505 5.215
O 5.096 -6.251 9.171
O 11.501 -4.535 1.536
```

Summary:
- Formation energy from the elements: -3.761 eV per atom
- V: 12.620 Å³ per atom
- Energy relative to the lowest polymorph listed for this composition: 0 meV/atom
- Total energy after the MP2020 corrections: -9.53 eV per atom

=====

Record 7
The following is a PBE-GGA calculation of Hf2ReNi after structural relaxation, from Materials Project.

The structure in extended XYZ format:
```
16
Lattice="6.476 0.000 0.000 0.000 6.476 0.000 0.000 0.000 6.476" Properties=species:S:1:pos:R:3 pbc="T T T"
Hf 1.619 1.619 1.619
Hf 1.619 1.619 4.857
Hf 1.619 4.857 1.619
Hf 1.619 4.857 4.857
Hf 4.857 1.619 1.619
Hf 4.857 1.619 4.857
Hf 4.857 4.857 1.619
Hf 4.857 4.857 4.857
Re 0.000 0.000 0.000
Re 0.000 3.238 3.238
Re 3.238 0.000 3.238
Re 3.238 3.238 0.000
Ni 0.000 0.000 3.238
Ni 0.000 3.238 0.000
Ni 3.238 0.000 0.000
Ni 3.238 3.238 3.238
```

Summary:
- Formation energy from the elements: -0.431 eV per atom
- V: 16.978 Å³ per atom

=====

Record 8
The following is a PBE-GGA calculation of Cs2Bi4Se7 after structural relaxation, from Materials Project.

The structure in extended XYZ format:
```
26
Lattice="13.452 0.000 0.000 0.000 4.275 0.000 -1.185 0.000 15.655" Properties=species:S:1:pos:R:3 pbc="T T T"
Cs 0.713 1.069 2.941
Cs 3.907 3.206 5.814
Cs 8.360 1.069 9.841
Cs 11.553 3.206 12.714
Bi 0.788 3.206 8.938
Bi 1.956 3.206 14.862
Bi 3.604 1.069 11.357
Bi 5.869 1.069 1.868
Bi 6.397 3.206 13.787
Bi 8.663 3.206 4.298
Bi 10.311 1.069 0.793
Bi 11.478 1.069 6.717
Se 0.082 3.206 6.155
Se 0.128 1.069 15.071
Se 1.667 3.206 11.897
Se 2.829 1.069 8.567
Se 3.840 3.206 2.112
Se 4.318 1.069 14.358
Se 5.709 3.206 11.040
Se 6.558 1.069 4.615
Se 7.949 3.206 1.297
Se 8.426 1.069 13.544
Se 9.437 3.206 7.088
Se 10.600 1.069 3.758
Se 12.139 3.206 0.584
Se 12.184 1.069 9.500
```

Summary:
- Formation energy from the elements: -0.900 eV per atom
- V: 34.623 Å³ per atom
- Total energy after the MP2020 corrections: -4.12 eV per atom

=====

Record 9
The following is a PBE-GGA calculation of Mg2Ir2O5 after structural relaxation, from Materials Project.

The structure in extended XYZ format:
```
9
Lattice="3.453 0.000 0.000 0.000 3.453 0.000 0.000 0.000 8.523" Properties=species:S:1:pos:R:3 pbc="T T T"
Mg 0.000 0.000 2.082
Mg 0.000 0.000 6.440
Ir 1.727 1.727 0.000
Ir 1.727 1.727 4.261
O 0.000 0.000 0.000
O 0.000 1.727 3.086
O 0.000 1.727 5.437
O 1.727 0.000 3.086
O 1.727 0.000 5.437
```

Summary:
- Formation energy from the elements: -1.282 eV per atom
- V: 11.293 Å³ per atom
- Total energy after the MP2020 corrections: -6.35 eV per atom

=====

Record 10
The following is a PBE-GGA calculation of P3Pb5O12 after structural relaxation, from Materials Project.

The structure in extended XYZ format:
```
40
Lattice="9.958 0.000 0.000 -4.979 8.624 0.000 0.000 0.000 7.412" Properties=species:S:1:pos:R:3 pbc="T T T"
P -2.863 5.396 1.853
P 1.737 3.446 1.853
P 3.853 0.218 5.559
P 1.126 8.406 1.853
P 3.242 5.178 5.559
P 7.843 3.228 5.559
Pb -1.177 2.077 1.853
Pb -2.591 8.605 1.853
Pb 1.211 2.058 5.559
Pb 0.000 5.749 3.712
Pb 0.000 5.749 7.406
Pb 4.979 2.875 0.006
Pb 4.979 2.875 3.700
Pb 3.768 6.566 1.853
Pb 7.570 0.019 5.559
Pb 6.156 6.546 5.559
O -2.836 6.325 0.597
O -2.836 6.325 3.108
O -1.549 4.546 1.853
O -0.860 4.143 5.559
O 0.919 3.006 0.597
O 0.919 3.006 3.108
O -0.961 7.297 5.559
O 3.063 0.707 4.303
O 3.063 0.707 6.814
O -0.267 7.692 1.853
O 1.816 5.009 1.853
O 3.158 2.816 1.853
O 1.821 5.808 5.559
O 3.163 3.615 5.559
O 5.246 0.932 5.559
O 1.916 7.917 0.597
O 1.916 7.917 3.108
O 5.940 1.327 1.853
O 4.060 5.618 4.303
O 4.060 5.618 6.814
O 5.839 4.481 1.853
O 6.528 4.077 5.559
O 7.815 2.299 4.303
O 7.815 2.299 6.814
```

Summary:
- Formation energy from the elements: -2.231 eV per atom
- V: 15.912 Å³ per atom
- Total energy after the MP2020 corrections: -6.94 eV per atom

=====

Question: Among the records above, which one has the highest V?
Answer: Sr2Mg

=====

Question: formation energy from the elements of number 10 (P3Pb5O12)?
Answer: -2.231 eV per atom